<A>
VASP calculation (GGA+U) on a relaxed structure of ZnCr2O4.

## Properties
The calculation puts the volume at 463 Å³ per cell.

Cell lengths 6.005, 6.005, 14.823 Å; angles 90.00, 90.00, 120.00 degrees
Fractional coordinates of all 42 atoms:
Zn  0.000  0.000  0.000
Zn  0.000  0.000  0.243
Zn  0.000  0.000  0.622
Zn  0.333  0.667  0.666
Zn  0.667  0.333  0.327
Zn  0.667  0.333  0.956
Cr  0.168  0.335  0.452
Cr  0.168  0.832  0.452
Cr  0.330  0.165  0.787
Cr  0.333  0.667  0.286
Cr  0.333  0.667  0.908
Cr  0.501  0.001  0.121
Cr  0.501  0.499  0.121
Cr  0.665  0.832  0.452
Cr  0.667  0.333  0.575
Cr  0.835  0.165  0.787
Cr  0.835  0.670  0.787
Cr  0.999  0.499  0.121
O  0.000  0.000  0.382
O  0.000  0.000  0.859
O  0.031  0.516  0.374
O  0.155  0.309  0.711
O  0.155  0.845  0.711
O  0.183  0.365  0.200
O  0.183  0.817  0.200
O  0.320  0.160  0.528
O  0.333  0.667  0.047
O  0.333  0.667  0.525
O  0.357  0.178  0.045
O  0.484  0.516  0.374
O  0.484  0.969  0.374
O  0.507  0.015  0.863
O  0.507  0.492  0.863
O  0.635  0.817  0.200
O  0.667  0.333  0.193
O  0.667  0.333  0.714
O  0.691  0.845  0.711
O  0.822  0.178  0.045
O  0.822  0.643  0.045
O  0.840  0.160  0.528
O  0.840  0.680  0.528
O  0.985  0.492  0.863

=====

<B>
VASP calculation (GGA+U) on a relaxed structure of ZnCr2O4.

## Properties
The calculation puts the volume at 155 Å³ per cell.

Cell lengths 5.986, 5.986, 5.986 Å; angles 119.42, 117.14, 93.02 degrees
Fractional coordinates of all 14 atoms:
Zn  0.000  0.000  0.000
Zn  0.500  0.000  0.500
Cr  0.000  0.000  0.500
Cr  0.000  0.500  0.000
Cr  0.376  0.626  0.750
Cr  0.624  0.374  0.250
O  0.212  0.742  0.470
O  0.228  0.258  0.970
O  0.246  0.233  0.487
O  0.246  0.759  0.013
O  0.754  0.241  0.987
O  0.754  0.767  0.513
O  0.772  0.742  0.030
O  0.788  0.258  0.530

=====

Out of the structures above, which one is the most stable? Solution: <A>.